Entry 1:
VASP calculation (r2SCAN) on an optimized crystal structure of SrNd2S4.

The calculation puts the total energy at -245.7 eV/cell. Its formation enthalpy at 0 K is -2.3894 eV per atom. The space group is I-42d, No. 122.

```
14
Lattice="-4.350 4.350 4.341 4.350 -4.350 4.341 4.350 4.350 -4.341" Properties=species:S:1:pos:R:3 pbc="T T T"
Sr 0.000 0.000 0.000
Sr 0.000 4.350 2.170
Nd 2.175 -1.109 3.256
Nd 3.241 2.175 1.085
Nd 2.175 5.459 -1.085
Nd 1.109 2.175 5.426
S 5.861 0.653 0.512
S 3.697 2.839 -1.658
S 0.653 2.839 -0.512
S 0.653 1.511 2.683
S 3.697 1.511 3.829
S 1.511 -0.653 5.999
S 2.839 5.003 1.658
S -1.511 3.697 4.853
```

Entry 2:
VASP calculation (r2SCAN) on an optimized crystal structure of Nd2TeS2.

The calculation puts the total energy at -111.2 eV/cell. Its formation enthalpy at 0 K is -2.1788 eV per atom. The space group is P-3m1, No. 164.

```
5
Lattice="4.650 0.000 0.000 -2.325 4.027 0.000 0.000 0.000 7.774" Properties=species:S:1:pos:R:3 pbc="T T T"
Nd 0.000 2.685 2.078
Nd 2.325 1.342 5.696
Te 0.000 0.000 0.000
S 0.000 2.685 4.942
S 2.325 1.342 2.832
```

Entry 3:
VASP calculation (r2SCAN) on an optimized crystal structure of Nd2ThS5.

The calculation puts the total energy at -765.4 eV/cell. Its formation enthalpy at 0 K is -2.3601 eV per atom. The space group is Pnma, No. 62.

```
32
Lattice="12.097 0.000 0.000 0.000 8.245 0.000 0.000 0.000 7.582" Properties=species:S:1:pos:R:3 pbc="T T T"
Nd 2.155 0.004 0.139
Nd 2.155 4.118 0.139
Nd 3.894 4.127 3.930
Nd 3.894 8.241 3.930
Nd 8.203 0.004 3.652
Nd 8.203 4.118 3.652
Nd 9.942 4.127 7.443
Nd 9.942 8.241 7.443
Th 0.105 6.184 4.361
Th 5.944 2.061 0.570
Th 6.153 6.184 7.012
Th 11.992 2.061 3.221
S 0.012 6.184 7.267
S 1.216 0.348 5.018
S 1.216 3.774 5.018
S 2.259 6.184 2.487
S 2.622 2.061 2.274
S 3.426 6.184 6.065
S 3.790 2.061 6.278
S 4.832 4.471 1.227
S 4.832 7.897 1.227
S 6.036 2.061 3.476
S 6.061 6.184 4.106
S 7.265 0.348 6.355
S 7.265 3.774 6.355
S 8.307 6.184 1.304
S 8.671 2.061 1.517
S 9.475 6.184 5.308
S 9.838 2.061 5.095
S 10.881 4.471 2.564
S 10.881 7.897 2.564
S 12.085 2.061 0.315
```

Entry 4:
VASP calculation (r2SCAN) on an optimized crystal structure of NdTmS3.

The calculation puts the total energy at -804.7 eV/cell. Its formation enthalpy at 0 K is -2.3883 eV per atom. The space group is P2_1/m, No. 11.

```
40
Lattice="10.984 0.000 0.000 0.000 3.936 0.000 -4.226 0.000 20.990" Properties=species:S:1:pos:R:3 pbc="T T T"
Nd -0.541 0.984 7.624
Nd 2.056 0.984 0.777
Nd 0.234 2.952 15.407
Nd 2.399 0.984 4.890
Nd 4.359 2.952 16.100
Nd 6.524 0.984 5.584
Nd 4.702 2.952 20.213
Nd 7.299 2.952 13.366
Tm -3.267 0.984 17.869
Tm -0.331 0.984 11.462
Tm 1.031 0.984 19.239
Tm 3.505 2.952 8.657
Tm 3.253 0.984 12.333
Tm 5.727 2.952 1.751
Tm 7.089 2.952 9.529
Tm 10.025 2.952 3.121
S -0.556 0.984 4.806
S -3.354 2.952 19.829
S -1.018 2.952 9.720
S -1.422 0.984 13.920
S 1.673 2.952 2.829
S 1.393 2.952 6.857
S -0.689 0.984 17.292
S 1.224 2.952 12.571
S -0.252 2.952 20.701
S 2.038 0.984 9.745
S 4.416 0.984 2.818
S 2.387 0.984 15.116
S 4.371 2.952 5.874
S 2.342 2.952 18.172
S 4.720 2.952 11.245
S 7.010 0.984 0.289
S 5.534 0.984 8.419
S 7.447 2.952 3.698
S 5.365 0.984 14.133
S 5.085 0.984 18.161
S 8.180 2.952 7.070
S 7.776 0.984 11.270
S 10.112 0.984 1.161
S 7.314 2.952 16.184
```

Entry 5:
VASP calculation (r2SCAN) on an optimized crystal structure of Nd2US5.

The calculation puts the total energy at -786.3 eV/cell. Its formation enthalpy at 0 K is -2.2049 eV per atom. The space group is Pnma, No. 62.

```
32
Lattice="11.897 0.000 0.000 0.000 8.151 0.000 0.000 0.000 7.536" Properties=species:S:1:pos:R:3 pbc="T T T"
Nd 2.105 0.001 0.172
Nd 2.105 4.075 0.172
Nd 3.844 8.150 3.940
Nd 3.844 4.077 3.940
Nd 8.053 0.001 3.596
Nd 8.053 4.075 3.596
Nd 9.793 8.150 7.364
Nd 9.793 4.077 7.364
U 0.120 2.038 4.315
U 5.829 6.114 0.547
U 6.069 2.038 6.990
U 11.777 6.114 3.221
S 0.009 2.038 7.202
S 1.136 4.412 4.989
S 1.136 7.815 4.989
S 2.209 2.038 2.491
S 2.549 6.114 2.289
S 3.399 2.038 6.057
S 3.739 6.114 6.259
S 4.813 0.336 1.220
S 4.813 3.740 1.220
S 5.940 6.114 3.434
S 5.957 2.038 4.103
S 7.084 4.412 6.316
S 7.084 7.815 6.316
S 8.158 2.038 1.277
S 8.498 6.114 1.479
S 9.348 2.038 5.248
S 9.688 6.114 5.046
S 10.762 0.336 2.548
S 10.762 3.740 2.548
S 11.889 6.114 0.334
```

Entry 6:
VASP calculation (r2SCAN) on an optimized crystal structure of YbNdS3.

The calculation puts the total energy at -204.1 eV/cell. Its formation enthalpy at 0 K is -2.3985 eV per atom. The space group is Cmcm, No. 63.

```
10
Lattice="1.935 -6.280 0.000 1.935 6.280 0.000 0.000 0.000 9.495" Properties=species:S:1:pos:R:3 pbc="T T T"
Yb 0.000 0.000 0.000
Yb 0.000 0.000 4.748
Nd 1.935 3.100 7.122
Nd 1.935 -3.100 2.374
S 1.935 5.196 2.374
S 1.935 1.781 0.598
S 1.935 1.781 4.149
S 1.935 -1.781 5.346
S 1.935 -1.781 8.897
S 1.935 -5.196 7.122
```

Entry 7:
VASP calculation (r2SCAN) on an optimized crystal structure of YbNd2S4.

The calculation puts the total energy at -286.7 eV/cell. Its formation enthalpy at 0 K is -2.2636 eV per atom. The space group is I-42d, No. 122.

```
14
Lattice="-4.178 4.178 4.340 4.178 -4.178 4.340 4.178 4.178 -4.340" Properties=species:S:1:pos:R:3 pbc="T T T"
Yb 0.000 0.000 0.000
Yb 0.000 4.178 2.170
Nd 2.089 3.256 -1.085
Nd 5.100 2.089 1.085
Nd 2.089 0.922 3.255
Nd -0.922 2.089 5.425
S 4.773 2.603 -1.754
S 2.603 0.595 0.417
S 3.583 -1.575 3.924
S -0.595 1.575 2.587
S 2.603 3.583 1.754
S 0.595 5.753 -0.417
S 1.575 0.595 6.094
S 1.575 3.583 4.757
```

Entry 8:
VASP calculation (r2SCAN) on an optimized crystal structure of Nd2ZrS5.

The calculation puts the total energy at -557.3 eV/cell. Its formation enthalpy at 0 K is -2.1971 eV per atom. The space group is Pnma, No. 62.

```
32
Lattice="11.661 0.000 0.000 0.000 8.010 0.000 0.000 0.000 7.391" Properties=species:S:1:pos:R:3 pbc="T T T"
Nd 2.051 0.007 0.265
Nd 2.051 3.997 0.265
Nd 3.780 4.012 3.961
Nd 3.780 8.002 3.961
Nd 7.882 0.007 3.430
Nd 7.882 3.997 3.430
Nd 9.610 4.012 7.126
Nd 9.610 8.002 7.126
Zr 0.092 6.007 4.248
Zr 5.739 2.002 0.552
Zr 5.923 6.007 6.839
Zr 11.569 2.002 3.144
S 0.047 6.007 6.976
S 0.997 0.282 4.919
S 0.997 3.723 4.919
S 2.152 6.007 2.538
S 2.408 2.002 2.383
S 3.423 6.007 6.079
S 3.679 2.002 6.234
S 4.833 4.287 1.223
S 4.833 7.728 1.223
S 5.783 2.002 3.280
S 5.878 6.007 4.111
S 6.828 0.282 6.168
S 6.828 3.723 6.168
S 7.982 6.007 1.158
S 8.239 2.002 1.313
S 9.253 6.007 5.008
S 9.510 2.002 4.854
S 10.664 4.287 2.472
S 10.664 7.728 2.472
S 11.614 2.002 0.416
```

Entry 9:
VASP calculation (r2SCAN) on an optimized crystal structure of NdSb.

The calculation puts the total energy at -232.0 eV/cell. Its formation enthalpy at 0 K is -1.4327 eV per atom. The space group is Fm-3m, No. 225.

```
8
Lattice="6.407 0.000 0.000 0.000 6.407 0.000 0.000 0.000 6.407" Properties=species:S:1:pos:R:3 pbc="T T T"
Nd 0.000 0.000 0.000
Nd 0.000 3.203 3.203
Nd 3.203 0.000 3.203
Nd 3.203 3.203 0.000
Sb 0.000 0.000 3.203
Sb 0.000 3.203 0.000
Sb 3.203 0.000 0.000
Sb 3.203 3.203 3.203
```

Entry 10:
VASP calculation (r2SCAN) on an optimized crystal structure of Nd4Sb3.

The calculation puts the total energy at -407.0 eV/cell. Its formation enthalpy at 0 K is -1.2466 eV per atom. The space group is I-43d, No. 220.

```
14
Lattice="-4.758 4.758 4.758 4.758 -4.758 4.758 4.758 4.758 -4.758" Properties=species:S:1:pos:R:3 pbc="T T T"
Nd 4.089 0.669 -0.669
Nd 6.468 -1.710 1.710
Nd 0.669 0.669 0.669
Nd 0.669 -0.669 4.089
Nd -0.669 4.089 0.669
Nd 1.710 6.468 -1.710
Nd 3.048 3.048 3.048
Nd -1.710 1.710 6.468
Sb 7.137 1.189 0.000
Sb 3.568 0.000 2.379
Sb 2.379 3.568 0.000
Sb 0.000 2.379 3.568
Sb 1.189 0.000 7.137
Sb 0.000 7.137 1.189
```

Entry 11:
VASP calculation (r2SCAN) on an optimized crystal structure of Nd5Sb3.

The calculation puts the total energy at -466.5 eV/cell. Its formation enthalpy at 0 K is -1.1318 eV per atom. The space group is P6_3/mcm, No. 193.

```
16
Lattice="9.344 0.000 0.000 -4.672 8.092 0.000 0.000 0.000 6.536" Properties=species:S:1:pos:R:3 pbc="T T T"
Nd -1.172 2.030 1.634
Nd -3.500 6.062 4.902
Nd 2.344 0.000 1.634
Nd 1.172 2.030 4.902
Nd 0.000 5.395 0.000
Nd 0.000 5.395 3.268
Nd 4.672 2.697 0.000
Nd 4.672 2.697 3.268
Nd 7.000 0.000 4.902
Nd 3.500 6.062 1.634
Sb -1.801 3.120 4.902
Sb -2.871 4.972 1.634
Sb 3.603 0.000 4.902
Sb 1.801 3.120 1.634
Sb 5.742 0.000 1.634
Sb 2.871 4.972 4.902
```

Entry 12:
VASP calculation (r2SCAN) on an optimized crystal structure of NdSbSe.

The calculation puts the total energy at -297.1 eV/cell. Its formation enthalpy at 0 K is -1.6150 eV per atom. The space group is Pnma, No. 62.

```
12
Lattice="18.338 0.000 0.000 0.000 4.216 0.000 0.000 0.000 4.226" Properties=species:S:1:pos:R:3 pbc="T T T"
Nd 2.713 1.054 0.991
Nd 6.456 3.162 3.103
Nd 11.882 1.054 1.122
Nd 15.625 3.162 3.235
Sb 0.012 1.054 3.101
Sb 9.157 3.162 0.988
Sb 9.182 1.054 3.237
Sb 18.326 3.162 1.125
Se 3.422 3.162 3.110
Se 5.747 1.054 0.997
Se 12.591 3.162 3.228
Se 14.916 1.054 1.115
```

Entry 13:
VASP calculation (r2SCAN) on an optimized crystal structure of NdSbTe.

The calculation puts the total energy at -169.3 eV/cell. Its formation enthalpy at 0 K is -1.3615 eV per atom. The space group is P4/nmm, No. 129.

```
6
Lattice="4.343 0.000 0.000 0.000 4.343 0.000 0.000 0.000 9.599" Properties=species:S:1:pos:R:3 pbc="T T T"
Nd 1.086 1.086 2.162
Nd 3.257 3.257 7.436
Sb 1.086 3.257 4.799
Sb 3.257 1.086 4.799
Te 1.086 1.086 8.402
Te 3.257 3.257 1.197
```

Entry 14:
VASP calculation (r2SCAN) on an optimized crystal structure of Nd3TiSb5.

The calculation puts the total energy at -478.2 eV/cell. Its formation enthalpy at 0 K is -1.0438 eV per atom. The space group is P6_3/mcm, No. 193.

```
18
Lattice="9.527 0.000 0.000 -4.763 8.250 0.000 0.000 0.000 6.185" Properties=species:S:1:pos:R:3 pbc="T T T"
Nd -1.811 3.136 1.546
Nd -2.953 5.114 4.639
Nd 3.621 0.000 1.546
Nd 1.811 3.136 4.639
Nd 5.905 0.000 4.639
Nd 2.953 5.114 1.546
Ti 0.000 0.000 0.000
Ti 0.000 0.000 3.093
Sb -1.200 2.079 4.639
Sb -3.563 6.171 1.546
Sb 2.401 0.000 4.639
Sb 1.200 2.079 1.546
Sb 0.000 5.500 0.000
Sb 0.000 5.500 3.093
Sb 4.763 2.750 0.000
Sb 4.763 2.750 3.093
Sb 7.126 0.000 1.546
Sb 3.563 6.171 4.639
```

Entry 15:
VASP calculation (r2SCAN) on an optimized crystal structure of Nd3ZrSb5.

The calculation puts the total energy at -499.0 eV/cell. Its formation enthalpy at 0 K is -1.1088 eV per atom. The space group is P6_3/mcm, No. 193.

```
18
Lattice="9.610 0.000 0.000 -4.805 8.323 0.000 0.000 0.000 6.252" Properties=species:S:1:pos:R:3 pbc="T T T"
Nd -1.829 3.168 1.563
Nd -2.976 5.155 4.689
Nd 3.658 0.000 1.563
Nd 1.829 3.168 4.689
Nd 5.952 0.000 4.689
Nd 2.976 5.155 1.563
Zr 0.000 0.000 0.000
Zr 0.000 0.000 3.126
Sb -1.261 2.184 4.689
Sb -3.544 6.139 1.563
Sb 2.522 0.000 4.689
Sb 1.261 2.184 1.563
Sb 0.000 5.549 0.000
Sb 0.000 5.549 3.126
Sb 4.805 2.774 0.000
Sb 4.805 2.774 3.126
Sb 7.089 0.000 1.563
Sb 3.544 6.139 4.689
```

Entry 16:
VASP calculation (r2SCAN) on an optimized crystal structure of NdSc3.

The calculation puts the total energy at -126.7 eV/cell. Its formation enthalpy at 0 K is 0.0686 eV per atom. The space group is P6_3/mmc, No. 194.

```
8
Lattice="6.877 0.000 0.000 -3.439 5.956 0.000 0.000 0.000 5.377" Properties=species:S:1:pos:R:3 pbc="T T T"
Nd 0.000 3.971 1.344
Nd 3.439 1.985 4.033
Sc 0.000 1.932 4.033
Sc -1.766 4.990 4.033
Sc 1.673 0.966 1.344
Sc 1.766 4.990 4.033
Sc 5.204 0.966 1.344
Sc 3.439 4.024 1.344
```

Entry 17:
VASP calculation (r2SCAN) on an optimized crystal structure of NdSe.

The calculation puts the total energy at -191.8 eV/cell. Its formation enthalpy at 0 K is -2.1070 eV per atom. The space group is Fm-3m, No. 225.

```
8
Lattice="5.974 0.000 0.000 0.000 5.974 0.000 0.000 0.000 5.974" Properties=species:S:1:pos:R:3 pbc="T T T"
Nd 0.000 0.000 0.000
Nd 0.000 2.987 2.987
Nd 2.987 0.000 2.987
Nd 2.987 2.987 0.000
Se 0.000 0.000 2.987
Se 0.000 2.987 0.000
Se 2.987 0.000 0.000
Se 2.987 2.987 2.987
```